No. 1
HoSnPd2: relaxed, meta-GGA r2SCAN.

Properties
E_form   -0.90 eV/atom
Crystal system   cubic
DFT total energy   -26.79 eV/atom

Lattice parameters (Å, degrees): 4.758 4.758 4.758 60.00 60.00 60.00
Fractional positions:
Ho 0.000 0.000 0.000
Pd 0.750 0.750 0.750
Pd 0.250 0.250 0.250
Sn 0.500 0.500 0.500

***

No. 2
YbHoPd2: relaxed, meta-GGA r2SCAN.

Properties
E_form   -0.97 eV/atom
Crystal system   cubic
DFT total energy   -29.80 eV/atom

Lattice parameters (Å, degrees): 4.875 4.875 4.875 60.00 60.00 60.00
Fractional positions:
Ho 0.500 0.500 0.500
Pd 0.750 0.750 0.750
Pd 0.250 0.250 0.250
Yb 0.000 0.000 0.000

***

No. 3
HoZnPd: relaxed, meta-GGA r2SCAN.

Properties
E_form   -0.78 eV/atom
Crystal system   hexagonal
DFT total energy   -22.36 eV/atom

Lattice parameters (Å, degrees): 7.209 7.209 3.835 90.00 90.00 120.00
Fractional positions:
Ho 0.000 0.596 0.000
Ho 0.404 0.404 0.000
Ho 0.596 0.000 0.000
Zn 0.000 0.251 0.500
Zn 0.251 0.000 0.500
Zn 0.749 0.749 0.500
Pd 0.667 0.333 0.500
Pd 0.333 0.667 0.500
Pd 0.000 0.000 0.000

***

no.,theoretical density (g/cm3)
1,10.826
2,11.166
3,9.719